No. 1
This record from the Materials Project database describes InGaBr4 after structural relaxation. The functional is GGA-PBE.

Properties
Volume ... 911.5 Å³/cell
Formation enthalpy at 0 K ... -1187 meV per atom
Calculated density ... 3.67 g cm⁻³

Lattice parameters (Å, degrees): 7.6205 9.2895 13.3360 74.90 90.00 90.00
Last column: nearest neighbours and their distance in Å.
Fractional coordinates of all 24 atoms:
Br1 0.2484 0.2974 0.8632  1 Ga 2.38
Br2 0.9236 0.6643 0.8704  1 Ga 2.37
Br3 0.0764 0.3357 0.1296  1 Ga 2.37
Br4 0.5686 0.7147 0.4109  1 Ga 2.36
Br5 0.2330 0.9572 0.1024  1 Ga 2.35
Br6 0.0764 0.6643 0.3704  1 Ga 2.37
Br7 0.7516 0.7026 0.1368  1 Ga 2.38
Br8 0.2330 0.0428 0.3976  1 Ga 2.35
Br9 0.7516 0.2974 0.3632  1 Ga 2.38
Br10 0.4314 0.7147 0.9109  1 Ga 2.36
Br11 0.4314 0.2853 0.5891  1 Ga 2.36
Br12 0.7670 0.9572 0.6024  1 Ga 2.35
Br13 0.5686 0.2853 0.0891  1 Ga 2.36
Br14 0.2484 0.7026 0.6368  1 Ga 2.38
Br15 0.9236 0.3357 0.6296  1 Ga 2.37
Br16 0.7670 0.0428 0.8976  1 Ga 2.35
Ga1 0.2851 0.2157 0.0467  4 Br 2.35-2.38
Ga2 0.2851 0.7843 0.4533  4 Br 2.35-2.38
Ga3 0.7149 0.2157 0.5467  4 Br 2.35-2.38
Ga4 0.7149 0.7843 0.9533  4 Br 2.35-2.38
In1 0.8796 0.0000 0.2500  8 Br 3.42-3.78
In2 0.4085 0.5000 0.2500  6 Br 3.34-3.55
In3 0.5915 0.5000 0.7500  6 Br 3.34-3.55
In4 0.1204 0.0000 0.7500  8 Br 3.42-3.78


No. 2
This record from the Materials Project database describes ZnGaO3 after structural relaxation. The functional is GGA-PBE.

Properties
Volume ... 56.1 Å³/cell
Formation enthalpy at 0 K ... -1148 meV per atom
Calculated density ... 5.42 g cm⁻³

Lattice parameters (Å, degrees): 3.8282 3.8282 3.8282 90.00 90.00 90.00
Last column: nearest neighbours and their distance in Å.
Fractional coordinates of all 5 atoms:
O1 0.0000 0.0000 0.5000  2 Ga 1.91
O2 0.0000 0.5000 0.0000  2 Ga 1.91
O3 0.5000 0.0000 0.0000  2 Ga 1.91
Ga1 0.0000 0.0000 0.0000  6 O 1.91
Zn1 0.5000 0.5000 0.5000  12 O 2.71


No. 3
This record from the Materials Project database describes Tb11O20 after structural relaxation. The functional is GGA-PBE.

Properties
Volume ... 444.7 Å³/cell
Formation enthalpy at 0 K ... -3456 meV per atom
Calculated density ... 7.72 g cm⁻³
Energy above the most stable polymorph in this dataset ... 0.000 eV/f.u.

Lattice parameters (Å, degrees): 6.5630 6.6912 10.2968 94.04 92.94 98.92
Last column: nearest neighbours and their distance in Å.
Fractional coordinates of all 31 atoms:
Tb1 0.5307 0.2677 0.0758  7 O 2.29-2.37
Tb2 0.8718 0.4512 0.8271  7 O 2.29-2.36
Tb3 0.4693 0.7323 0.9242  7 O 2.29-2.37
Tb4 0.0000 0.0000 0.0000  8 O 2.31-2.51
Tb5 0.8185 0.8888 0.6313  7 O 2.30-2.49
Tb6 0.6299 0.8549 0.2763  7 O 2.30-2.36
Tb7 0.1282 0.5488 0.1729  7 O 2.29-2.36
Tb8 0.7290 0.3637 0.4787  7 O 2.30-2.43
Tb9 0.3701 0.1451 0.7237  7 O 2.30-2.36
Tb10 0.2710 0.6363 0.5213  7 O 2.30-2.43
Tb11 0.1815 0.1112 0.3687  7 O 2.30-2.49
O1 0.5401 0.1831 0.2958  4 Tb 2.35-2.49, 1 O 2.58
O2 0.6688 0.9657 0.0697  4 Tb 2.29-2.34
O3 0.7127 0.2008 0.6689  4 Tb 2.31-2.33, 1 O 2.53
O4 0.0351 0.4272 0.3699  4 Tb 2.31-2.45
O5 0.2064 0.2195 0.1612  4 Tb 2.31-2.36, 1 O 2.58
O6 0.4599 0.8169 0.7042  4 Tb 2.35-2.49, 1 O 2.58
O7 0.2873 0.7992 0.3311  4 Tb 2.31-2.33, 1 O 2.53
O8 0.5295 0.4091 0.8716  4 Tb 2.29-2.37
O9 0.8778 0.3360 0.0380  4 Tb 2.31-2.51
O10 0.4705 0.5909 0.1284  4 Tb 2.29-2.37
O11 0.9591 0.8330 0.2006  3 Tb 2.35-2.42, 2 O 2.53-2.58
O12 0.0409 0.1670 0.7994  3 Tb 2.35-2.42, 2 O 2.53-2.58
O13 0.9649 0.5728 0.6301  4 Tb 2.31-2.45
O14 0.3715 0.3240 0.5381  4 Tb 2.30-2.43
O15 0.7936 0.7805 0.8388  4 Tb 2.31-2.36, 1 O 2.58
O16 0.1524 0.9427 0.5684  4 Tb 2.30-2.42
O17 0.8476 0.0573 0.4316  4 Tb 2.30-2.42
O18 0.1222 0.6640 0.9620  4 Tb 2.31-2.51
O19 0.6285 0.6760 0.4619  4 Tb 2.30-2.43
O20 0.3312 0.0343 0.9303  4 Tb 2.29-2.34


No. 4
This record from the Materials Project database describes Ba2SrMg4F14 after structural relaxation. The functional is GGA-PBE.

Properties
Volume ... 1208.8 Å³/cell
Formation enthalpy at 0 K ... -3978 meV per atom
Calculated density ... 3.99 g cm⁻³

Lattice parameters (Å, degrees): 12.6316 12.6316 7.5759 90.00 90.00 90.00
Last column: nearest neighbours and their distance in Å.
Fractional coordinates of all 84 atoms:
Mg1 0.9513 0.7469 0.5000  6 F 1.92-2.04
Mg2 0.7964 0.2036 0.2541  6 F 1.97-2.05
Mg3 0.0487 0.2531 0.5000  6 F 1.92-2.04
Mg4 0.7036 0.7036 0.2459  6 F 1.97-2.05
Mg5 0.7469 0.9513 0.5000  6 F 1.92-2.04
Mg6 0.2036 0.7964 0.2541  6 F 1.97-2.05
Mg7 0.2531 0.0487 0.5000  6 F 1.92-2.04
Mg8 0.2964 0.2964 0.2459  6 F 1.97-2.05
Mg9 0.2036 0.7964 0.7459  6 F 1.97-2.05
Mg10 0.2964 0.2964 0.7541  6 F 1.97-2.05
Mg11 0.4513 0.7531 0.0000  6 F 1.92-2.04
Mg12 0.7531 0.4513 0.0000  6 F 1.92-2.04
Mg13 0.7964 0.2036 0.7459  6 F 1.97-2.05
Mg14 0.2469 0.5487 0.0000  6 F 1.92-2.04
Mg15 0.7036 0.7036 0.7541  6 F 1.97-2.05
Mg16 0.5487 0.2469 0.0000  6 F 1.92-2.04
F1 0.1456 0.3075 0.3101  2 Mg 1.97-2.01
F2 0.8544 0.6925 0.6899  2 Mg 1.97-2.01
F3 0.3075 0.1456 0.3101  2 Mg 1.97-2.01
F4 0.8075 0.3544 0.8101  2 Mg 1.97-2.01
F5 0.3544 0.8075 0.1899  2 Mg 1.97-2.01
F6 0.5116 0.8925 0.0000  1 Mg 1.92
F7 0.6925 0.8544 0.3101  2 Mg 1.97-2.01
F8 0.8925 0.5116 0.0000  1 Mg 1.92
F9 0.5839 0.4161 0.5000  2 Sr 2.40
F10 0.8009 0.0458 0.3021  2 Mg 2.03
F11 0.6456 0.1925 0.8101  2 Mg 1.97-2.01
F12 0.3925 0.9884 0.5000  1 Mg 1.92
F13 0.9542 0.1991 0.6979  2 Mg 2.03
F14 0.1925 0.6456 0.1899  2 Mg 1.97-2.01
F15 0.3363 0.3363 0.5000  2 Mg 2.05
F16 0.5458 0.6991 0.1979  2 Mg 2.03
F17 0.9884 0.3925 0.5000  1 Mg 1.92
F18 0.0995 0.0995 0.5000  2 Mg 2.04
F19 0.3009 0.4542 0.1979  2 Mg 2.03
F20 0.6991 0.5458 0.1979  2 Mg 2.03
F21 0.1075 0.4884 0.0000  1 Mg 1.92
F22 0.1637 0.8363 0.0000  2 Mg 2.05
F23 0.1925 0.6456 0.8101  2 Mg 1.97-2.01
F24 0.4005 0.5995 0.0000  2 Mg 2.04
F25 0.4542 0.3009 0.8021  2 Mg 2.03
F26 0.4542 0.3009 0.1979  2 Mg 2.03
F27 0.0116 0.6075 0.5000  1 Mg 1.92
F28 0.8544 0.6925 0.3101  2 Mg 1.97-2.01
F29 0.4884 0.1075 0.0000  1 Mg 1.92
F30 0.6075 0.0116 0.5000  1 Mg 1.92
F31 0.5995 0.4005 0.0000  2 Mg 2.04
F32 0.8363 0.1637 0.0000  2 Mg 2.05
F33 0.6456 0.1925 0.1899  2 Mg 1.97-2.01
F34 0.0458 0.8009 0.6979  2 Mg 2.03
F35 0.3544 0.8075 0.8101  2 Mg 1.97-2.01
F36 0.6637 0.6637 0.5000  2 Mg 2.05
F37 0.8075 0.3544 0.1899  2 Mg 1.97-2.01
F38 0.1456 0.3075 0.6899  2 Mg 1.97-2.01
F39 0.2593 0.2593 0.0000  2 Mg 1.98
F40 0.6925 0.8544 0.6899  2 Mg 1.97-2.01
F41 0.3009 0.4542 0.8021  2 Mg 2.03
F42 0.4161 0.5839 0.5000  2 Sr 2.40
F43 0.6991 0.5458 0.8021  2 Mg 2.03
F44 0.9005 0.9005 0.5000  2 Mg 2.04
F45 0.7593 0.2407 0.5000  2 Mg 1.98
F46 0.0458 0.8009 0.3021  2 Mg 2.03
F47 0.1991 0.9542 0.3021  2 Mg 2.03
F48 0.1991 0.9542 0.6979  2 Mg 2.03
F49 0.2407 0.7593 0.5000  2 Mg 1.98
F50 0.8009 0.0458 0.6979  2 Mg 2.03
F51 0.7407 0.7407 0.0000  2 Mg 1.98
F52 0.0839 0.0839 0.0000  2 Sr 2.40
F53 0.9161 0.9161 0.0000  2 Sr 2.40
F54 0.5458 0.6991 0.8021  2 Mg 2.03
F55 0.3075 0.1456 0.6899  2 Mg 1.97-2.01
F56 0.9542 0.1991 0.3021  2 Mg 2.03
Ba1 0.4796 0.8113 0.5000  1 F 2.49
Ba2 0.8113 0.4796 0.5000  1 F 2.49
Ba3 0.9796 0.6887 0.0000  1 F 2.49
Ba4 0.0204 0.3113 0.0000  1 F 2.49
Ba5 0.3113 0.0204 0.0000  1 F 2.49
Ba6 0.1887 0.5204 0.5000  1 F 2.49
Ba7 0.5204 0.1887 0.5000  1 F 2.49
Ba8 0.6887 0.9796 0.0000  1 F 2.49
Sr1 0.0000 0.0000 0.2469  8 F 2.40-2.62
Sr2 0.0000 0.0000 0.7531  8 F 2.40-2.62
Sr3 0.5000 0.5000 0.7469  8 F 2.40-2.62
Sr4 0.5000 0.5000 0.2531  8 F 2.40-2.62


No. 5
This record from the Materials Project database describes K2TaAgI6 after structural relaxation. The functional is GGA-PBE.

Properties
Volume ... 403.3 Å³/cell
Formation enthalpy at 0 K ... -867 meV per atom
Calculated density ... 4.65 g cm⁻³

Lattice parameters (Å, degrees): 8.2933 8.2933 8.2933 60.00 60.00 60.00
Last column: nearest neighbours and their distance in Å.
Fractional coordinates of all 10 atoms:
Ag1 0.0000 0.0000 0.0000  6 I 3.02
I1 0.7425 0.2575 0.2575  1 Ta 2.84, 1 Ag 3.02
I2 0.7425 0.2575 0.7425  1 Ta 2.84, 1 Ag 3.02
I3 0.2575 0.7425 0.2575  1 Ta 2.84, 1 Ag 3.02
I4 0.7425 0.7425 0.2575  1 Ta 2.84, 1 Ag 3.02
I5 0.2575 0.7425 0.7425  1 Ta 2.84, 1 Ag 3.02
I6 0.2575 0.2575 0.7425  1 Ta 2.84, 1 Ag 3.02
Ta1 0.5000 0.5000 0.5000  6 I 2.84
K1 0.7500 0.7500 0.7500  12 I 4.15
K2 0.2500 0.2500 0.2500  12 I 4.15


No. 6
This record from the Materials Project database describes SmEr3Se6 after structural relaxation. The functional is GGA-PBE.

Properties
Volume ... 528.6 Å³/cell
Formation enthalpy at 0 K ... -2150 meV per atom
Calculated density ... 7.07 g cm⁻³

Lattice parameters (Å, degrees): 4.1005 11.5420 11.8246 70.83 90.00 90.00
Last column: nearest neighbours and their distance in Å.
Fractional coordinates of all 20 atoms:
Se1 0.2500 0.3847 0.9656  3 Sm 2.99-3.07, 2 Er 3.04
Se2 0.2500 0.5831 0.5958  3 Er 2.84-2.88, 2 Sm 3.13
Se3 0.7500 0.9799 0.8857  4 Er 2.79-3.05
Se4 0.7500 0.3045 0.7502  3 Er 2.77-2.82, 1 Sm 3.07
Se5 0.7500 0.2410 0.2253  3 Er 2.88-2.97, 2 Sm 3.13
Se6 0.7500 0.4169 0.4042  3 Er 2.84-2.88, 2 Sm 3.13
Se7 0.7500 0.8942 0.4397  4 Er 2.82-2.88
Se8 0.2500 0.6955 0.2498  3 Er 2.77-2.82, 1 Sm 3.07
Se9 0.7500 0.6153 0.0344  3 Sm 2.99-3.07, 2 Er 3.04
Se10 0.2500 0.0201 0.1143  4 Er 2.79-3.05
Se11 0.2500 0.1058 0.5603  4 Er 2.82-2.88
Se12 0.2500 0.7590 0.7747  3 Er 2.88-2.97, 2 Sm 3.13
Er1 0.2500 0.8182 0.0007  7 Se 2.81-3.05
Er2 0.7500 0.1818 0.9993  7 Se 2.81-3.05
Er3 0.2500 0.0635 0.3332  6 Se 2.79-2.88
Er4 0.2500 0.3409 0.5848  6 Se 2.77-2.88
Er5 0.7500 0.9365 0.6668  6 Se 2.79-2.88
Er6 0.7500 0.6591 0.4152  6 Se 2.77-2.88
Sm1 0.2500 0.4538 0.1947  8 Se 2.99-3.13
Sm2 0.7500 0.5462 0.8053  8 Se 2.99-3.13


No. 7
This record from the Materials Project database describes KTaPt after structural relaxation. The functional is GGA-PBE.

Properties
Volume ... 67.9 Å³/cell
Formation enthalpy at 0 K ... 1156 meV per atom
Calculated density ... 10.15 g cm⁻³

Lattice parameters (Å, degrees): 4.5797 4.5797 4.5797 60.00 60.00 60.00
Last column: nearest neighbours and their distance in Å.
Fractional coordinates of all 3 atoms:
Ta1 0.2500 0.2500 0.2500  4 K 2.80, 4 Pt 2.80
Pt1 0.5000 0.5000 0.5000  4 Ta 2.80
K1 0.0000 0.0000 0.0000  4 Ta 2.80


No. 8
This record from the Materials Project database describes NaCa2Al4H8C4ClO20 after structural relaxation. The functional is GGA-PBE.

Properties
Volume ... 849.4 Å³/cell
Formation enthalpy at 0 K ... -2286 meV per atom
Calculated density ... 2.43 g cm⁻³

Lattice parameters (Å, degrees): 11.3283 11.3283 6.6189 90.00 90.00 90.00
Last column: nearest neighbours and their distance in Å.
Fractional coordinates of all 80 atoms:
C1 0.5000 0.7356 0.1560  3 O 1.28-1.30
C2 0.0000 0.2356 0.8440  3 O 1.28-1.30
C3 0.2356 0.0000 0.1560  3 O 1.28-1.30
C4 0.2644 0.5000 0.8440  3 O 1.28-1.30
C5 0.0000 0.7644 0.8440  3 O 1.28-1.30
C6 0.7356 0.5000 0.8440  3 O 1.28-1.30
C7 0.7644 0.0000 0.1560  3 O 1.28-1.30
C8 0.5000 0.2644 0.1560  3 O 1.28-1.30
O1 0.6889 0.1889 0.6081  1 H 0.98
O2 0.7892 0.1002 0.2408  1 C 1.30
O3 0.8111 0.3111 0.3919  1 H 0.98
O4 0.1889 0.3111 0.3919  1 H 0.98
O5 0.3998 0.7108 0.2408  1 C 1.30
O6 0.2108 0.8998 0.2408  1 C 1.30
O7 0.6889 0.8111 0.6081  1 H 0.98
O8 0.0000 0.8422 0.4000  1 H 0.98
O9 0.6002 0.7108 0.2408  1 C 1.30
O10 0.7840 0.5000 0.0194  1 C 1.28
O11 0.8422 0.0000 0.6000  1 H 0.98
O12 0.2840 0.0000 0.9806  1 C 1.28
O13 0.2892 0.6002 0.7592  1 C 1.30
O14 0.7160 0.0000 0.9806  1 C 1.28
O15 0.5000 0.6578 0.6000  1 H 0.98
O16 0.2892 0.3998 0.7592  1 C 1.30
O17 0.7108 0.3998 0.7592  1 C 1.30
O18 0.6578 0.5000 0.4000  1 H 0.98
O19 0.7892 0.8998 0.2408  1 C 1.30
O20 0.8998 0.2108 0.7592  1 C 1.30
O21 0.5000 0.2160 0.9806  1 C 1.28
O22 0.3111 0.1889 0.6081  1 H 0.98
O23 0.6002 0.2892 0.2408  1 C 1.30
O24 0.7108 0.6002 0.7592  1 C 1.30
O25 0.0000 0.7160 0.0194  1 C 1.28
O26 0.1889 0.6889 0.3919  1 H 0.98
O27 0.2108 0.1002 0.2408  1 C 1.30
O28 0.3111 0.8111 0.6081  1 H 0.98
O29 0.1002 0.2108 0.7592  1 C 1.30
O30 0.0000 0.2840 0.0194  1 C 1.28
O31 0.3422 0.5000 0.4000  1 H 0.98
O32 0.2160 0.5000 0.0194  1 C 1.28
O33 0.0000 0.1578 0.4000  1 H 0.98
O34 0.8111 0.6889 0.3919  1 H 0.98
O35 0.5000 0.3422 0.6000  1 H 0.98
O36 0.5000 0.7840 0.9806  1 C 1.28
O37 0.3998 0.2892 0.2408  1 C 1.30
O38 0.1578 0.0000 0.6000  1 H 0.98
O39 0.8998 0.7892 0.7592  1 C 1.30
O40 0.1002 0.7892 0.7592  1 C 1.30
Al1 0.8451 0.1549 0.5000  6 O 1.88-1.95
Al2 0.3451 0.6549 0.5000  6 O 1.88-1.95
Al3 0.6549 0.3451 0.5000  6 O 1.88-1.95
Al4 0.1549 0.1549 0.5000  6 O 1.88-1.95
Al5 0.6549 0.6549 0.5000  6 O 1.88-1.95
Al6 0.3451 0.3451 0.5000  6 O 1.88-1.95
Al7 0.8451 0.8451 0.5000  6 O 1.88-1.95
Al8 0.1549 0.8451 0.5000  6 O 1.88-1.95
H1 0.5000 0.6896 0.7380  1 O 0.98
H2 0.6896 0.5000 0.2620  1 O 0.98
H3 0.0000 0.1896 0.2620  1 O 0.98
H4 0.8714 0.6286 0.4212  1 O 0.98
H5 0.1286 0.3714 0.4212  1 O 0.98
H6 0.8104 0.0000 0.7380  1 O 0.98
H7 0.0000 0.8104 0.2620  1 O 0.98
H8 0.3714 0.8714 0.5788  1 O 0.98
H9 0.6286 0.8714 0.5788  1 O 0.98
H10 0.1896 0.0000 0.7380  1 O 0.98
H11 0.5000 0.3104 0.7380  1 O 0.98
H12 0.1286 0.6286 0.4212  1 O 0.98
H13 0.3714 0.1286 0.5788  1 O 0.98
H14 0.6286 0.1286 0.5788  1 O 0.98
H15 0.8714 0.3714 0.4212  1 O 0.98
H16 0.3104 0.5000 0.2620  1 O 0.98
Cl1 0.5000 0.0000 0.4777  4 H 2.17
Cl2 0.0000 0.5000 0.5223  4 H 2.17
Ca1 0.2500 0.7500 0.0000  4 O 2.37
Ca2 0.7500 0.7500 0.0000  4 O 2.37
Ca3 0.7500 0.2500 0.0000  4 O 2.37
Ca4 0.2500 0.2500 0.0000  4 O 2.37
Na1 0.5000 0.0000 0.9326  4 O 2.47
Na2 0.0000 0.5000 0.0674  4 O 2.47